Record 1
## MgV2ZnO6 (PBE with a Hubbard U)

Data for crystalline MgV2ZnO6 at its relaxed geometry.

Cell lengths 5.2791, 5.2791, 6.3829 Å; angles 90.51, 90.51, 44.08 degrees
Fractional positions:
Mg: 0.0000 0.0000 0.0000
V: 0.3280 0.3280 0.7420
V: 0.9946 0.9946 0.4766
Zn: 0.3145 0.3145 0.2397
O: 0.1196 0.1196 0.2757
O: 0.1483 0.1483 0.7450
O: 0.4362 0.4362 0.9835
O: 0.4528 0.4528 0.5100
O: 0.8563 0.8563 0.2699
O: 0.8702 0.8702 0.7263

## Properties
* distance to the lowest polymorph of the same formula: 21.7 meV per atom
* crystal system: monoclinic
* E_tot: -6.73 eV/atom
* total magnetic moment: 0.20 μB per atom
* theoretical density: 3860 kg/m3
* formation energy from the elements: -2.406 eV/atom

=====

Record 2
## MgV2Zn4O8 (PBE with a Hubbard U)

Data for crystalline MgV2Zn4O8 at its relaxed geometry.

Cell lengths 6.2851, 6.2851, 6.2851 Å; angles 123.04, 120.95, 86.59 degrees
Fractional positions:
Mg: 0.0000 0.0000 0.0000
V: 0.4279 0.6837 0.7442
V: 0.9395 0.6837 0.2558
Zn: 0.2858 0.2858 0.0000
Zn: 0.4848 0.1998 0.7150
Zn: 0.4848 0.7697 0.2850
Zn: 0.8338 0.3338 0.5000
O: 0.1550 0.4134 0.2584
O: 0.1550 0.8967 0.7416
O: 0.1793 0.9013 0.2780
O: 0.2283 0.4521 0.7763
O: 0.6233 0.9013 0.7220
O: 0.6758 0.4521 0.2237
O: 0.6976 0.4673 0.7697
O: 0.6976 0.9279 0.2303

## Properties
* distance to the lowest polymorph of the same formula: 0.0 meV per atom
* crystal system: orthorhombic
* E_tot: -5.76 eV/atom
* total magnetic moment: 0.27 μB per atom
* theoretical density: 5043 kg/m3
* formation energy from the elements: -2.061 eV/atom

=====

- Which formula does entry 1 have?
  MgV2ZnO6